(1)
The following is a PBE-GGA calculation of a relaxed Pm2O3 crystal, from Materials Project.

extended XYZ file:
```
40
Lattice="-5.539 5.539 5.539 5.539 -5.539 5.539 5.539 5.539 -5.539" Properties=species:S:1:pos:R:3 pbc="T T T"
Pm 2.770 5.192 0.000
Pm 8.309 0.347 0.000
Pm 5.192 0.000 2.770
Pm 0.347 0.000 8.309
Pm 0.000 2.770 5.192
Pm 0.000 8.309 0.347
Pm 2.770 0.347 5.539
Pm -2.770 5.192 5.539
Pm 0.347 5.539 2.770
Pm 5.192 5.539 -2.770
Pm 5.539 2.770 0.347
Pm 5.539 -2.770 5.192
Pm -2.770 2.770 2.770
Pm 2.770 -2.770 2.770
Pm 2.770 2.770 -2.770
Pm 2.770 2.770 2.770
O 4.328 1.663 4.197
O 1.211 1.663 6.882
O -1.211 3.876 6.882
O 6.750 3.876 4.197
O 1.663 4.197 4.328
O 1.663 6.882 1.211
O 3.876 6.882 -1.211
O 3.876 4.197 6.750
O 4.197 4.328 1.663
O 6.882 1.211 1.663
O 6.882 -1.211 3.876
O 4.197 6.750 3.876
O 1.211 3.876 1.342
O 4.328 3.876 -1.342
O 6.750 1.663 -1.342
O -1.211 1.663 1.342
O 3.876 1.342 1.211
O 3.876 -1.342 4.328
O 1.663 -1.342 6.750
O 1.663 1.342 -1.211
O 1.342 1.211 3.876
O -1.342 4.328 3.876
O -1.342 6.750 1.663
O 1.342 -1.211 1.663
```

Calculated values
- Energy with MP2020 corrections: -348.2 eV per cell

---

(2)
The following is a PBE-GGA calculation of a relaxed InSeClO3 crystal, from Materials Project.

extended XYZ file:
```
48
Lattice="-0.869 -6.864 -1.838 7.192 -0.732 -0.666 1.034 -4.424 16.033" Properties=species:S:1:pos:R:3 pbc="T T T"
In 5.088 -4.920 0.979
In 1.839 -10.531 11.632
In 2.122 -1.973 5.315
In 5.667 -6.614 9.134
In 2.270 -7.099 12.551
In 5.519 -1.488 1.898
In 5.236 -10.046 8.215
In 1.691 -5.405 4.396
Se 1.784 -6.344 0.922
Se 6.144 -9.210 11.596
Se 4.994 -3.964 4.457
Se 1.794 -4.521 10.084
Se 5.574 -5.676 12.608
Se 1.213 -2.810 1.934
Se 2.364 -8.055 9.072
Se 5.564 -7.498 3.445
Cl 5.185 -6.200 -1.240
Cl 2.591 -9.338 13.772
Cl 1.591 -4.116 6.616
Cl 5.348 -4.385 7.911
Cl 2.173 -5.819 14.769
Cl 4.767 -2.682 -0.242
Cl 5.766 -7.903 6.913
Cl 2.010 -7.635 5.619
O 2.583 -7.739 0.336
O 7.299 -8.014 12.001
O 3.856 -5.236 4.329
O 0.976 -3.050 10.394
O 4.774 -4.281 13.193
O 0.058 -4.006 1.529
O 3.501 -6.783 9.201
O 6.382 -8.969 3.136
O 2.925 -5.077 1.083
O 6.961 -10.676 11.254
O 4.191 -2.557 5.012
O 0.639 -5.730 9.711
O 4.433 -6.942 12.447
O 0.397 -1.344 2.276
O 3.166 -9.463 8.518
O 6.719 -6.290 3.819
O 1.639 -6.806 2.680
O 5.778 -8.695 9.885
O 5.136 -3.520 2.695
O 2.162 -5.017 11.800
O 5.718 -5.213 10.850
O 1.579 -3.324 3.644
O 2.222 -8.500 10.835
O 5.196 -7.002 1.730
```

Calculated values
- Energy with MP2020 corrections: -252.9 eV per cell
- M_tot: 0.001 μB/cell

---

(3)
The following is a PBE-GGA calculation of a relaxed K2LaCl5 crystal, from Materials Project.

extended XYZ file:
```
32
Lattice="8.132 0.000 0.000 0.000 8.944 0.000 0.000 0.000 12.963" Properties=species:S:1:pos:R:3 pbc="T T T"
K 3.678 8.896 8.705
K 0.387 4.519 2.224
K 4.453 4.424 4.258
K 7.744 0.047 10.740
K 4.453 0.047 4.258
K 7.744 4.424 10.740
K 3.678 4.519 8.705
K 0.387 8.896 2.224
La 7.508 6.708 6.562
La 4.690 6.708 0.080
La 0.624 2.236 6.401
La 3.442 2.236 12.883
Cl 0.597 2.236 12.875
Cl 3.468 2.236 6.394
Cl 7.534 6.708 0.088
Cl 4.663 6.708 6.570
Cl 5.434 6.708 10.293
Cl 6.763 6.708 3.811
Cl 2.697 2.236 2.670
Cl 1.369 2.236 9.152
Cl 1.063 6.708 8.820
Cl 3.003 6.708 2.339
Cl 7.069 2.236 4.143
Cl 5.129 2.236 10.625
Cl 6.801 0.381 7.506
Cl 5.397 4.091 1.024
Cl 1.331 4.853 5.458
Cl 2.735 8.562 11.939
Cl 1.331 8.562 5.458
Cl 2.735 4.853 11.939
Cl 6.801 4.091 7.506
Cl 5.397 0.381 1.024
```

Calculated values
- Energy with MP2020 corrections: -148.8 eV per cell

---

(4)
The following is a PBE-GGA calculation of a relaxed ErNiPb crystal, from Materials Project.

extended XYZ file:
```
12
Lattice="4.350 0.000 0.000 0.000 7.109 0.000 0.000 0.000 8.067" Properties=species:S:1:pos:R:3 pbc="T T T"
Er 1.087 3.662 1.494
Er 3.262 3.446 6.572
Er 3.262 7.001 5.528
Er 1.087 0.108 2.539
Ni 1.087 5.442 7.183
Ni 3.262 1.667 0.883
Ni 3.262 5.221 3.150
Ni 1.087 1.888 4.917
Pb 1.087 4.760 4.618
Pb 3.262 2.349 3.448
Pb 3.262 5.903 0.585
Pb 1.087 1.205 7.481
```

---

(5)
The following is a PBE-GGA calculation of a relaxed Pr2Ni3As3 crystal, from Materials Project.

extended XYZ file:
```
8
Lattice="6.084 0.000 0.000 -0.057 6.458 0.000 -2.915 -1.672 18.229" Properties=species:S:1:pos:R:3 pbc="T T T"
Pr 0.795 1.958 13.881
Pr 2.316 2.829 4.348
Ni 2.703 3.042 2.144
Ni 0.408 1.745 16.085
Ni 1.555 2.393 9.115
As 1.883 2.584 6.941
As 1.228 2.203 11.288
As 3.013 3.229 0.000
```

Calculated values
- M_tot: 3.001 μB/cell

---

(6)
The following is a PBE-GGA calculation of a relaxed La3U2O10 crystal, from Materials Project.

extended XYZ file:
```
15
Lattice="2.778 6.063 0.000 -2.778 6.063 0.000 0.000 5.792 6.366" Properties=species:S:1:pos:R:3 pbc="T T T"
La 0.000 10.079 5.744
La 0.000 2.896 3.183
La 0.000 7.839 0.622
U 0.000 6.420 4.522
U 0.000 11.498 1.844
O -1.538 6.063 0.000
O 1.429 10.921 3.902
O 1.538 6.063 0.000
O -1.306 9.858 1.373
O -1.306 8.060 4.993
O -1.429 10.921 3.902
O 1.429 6.997 2.464
O 1.306 9.858 1.373
O 1.306 8.060 4.993
O -1.429 6.997 2.464
```

Calculated values
- Energy with MP2020 corrections: -145.3 eV per cell
- Polymorph energy (0 for the lowest one): 0.21 eV per formula unit

---

(7)
The following is a PBE-GGA calculation of a relaxed CaPH5O6 crystal, from Materials Project.

extended XYZ file:
```
26
Lattice="7.569 3.219 0.000 -7.569 3.219 0.000 0.000 2.895 5.140" Properties=species:S:1:pos:R:3 pbc="T T T"
Ca 4.972 5.431 3.858
Ca -4.972 3.983 1.288
P -2.687 5.348 3.937
P 2.687 3.901 1.367
H -1.011 4.329 0.753
H 1.011 5.777 3.323
H 0.193 7.862 5.125
H -0.193 6.414 2.554
H -0.125 2.767 1.996
H 0.125 4.215 4.566
H -2.611 6.141 1.878
H 2.611 7.589 4.448
H -1.318 2.216 1.094
H 1.318 3.664 3.664
O -1.605 4.515 4.635
O -3.755 4.379 3.354
O 1.116 4.149 4.516
O -1.116 2.701 1.945
O 0.789 6.440 2.630
O -0.789 4.992 0.060
O -3.307 6.451 4.799
O 3.307 5.003 2.228
O -1.994 6.118 2.689
O 1.994 4.670 0.118
O 3.755 2.931 0.784
O 1.605 3.067 2.065
```

Calculated values
- Energy with MP2020 corrections: -162.3 eV per cell
- M_tot: 0.000 μB/cell

---

(8)
The following is a PBE-GGA calculation of a relaxed Ca2GeO4 crystal, from Materials Project.

extended XYZ file:
```
7
Lattice="3.791 0.000 0.000 0.000 3.791 0.000 -1.896 -1.896 5.892" Properties=species:S:1:pos:R:3 pbc="T T T"
Ca 1.896 1.896 1.716
Ca 0.000 0.000 4.176
Ge 0.000 0.000 0.000
O 1.896 1.896 3.983
O 0.000 0.000 1.909
O 1.896 0.000 0.000
O 0.000 1.896 0.000
```

Calculated values
- Energy with MP2020 corrections: -48.3 eV per cell
- Polymorph energy (0 for the lowest one): 1.02 eV per formula unit
- M_tot: 0.000 μB/cell

---

(9)
The following is a PBE-GGA calculation of a relaxed TbMg2Cu9 crystal, from Materials Project.

extended XYZ file:
```
24
Lattice="2.503 -4.335 0.000 2.503 4.335 0.000 0.000 0.000 16.154" Properties=species:S:1:pos:R:3 pbc="T T T"
Tb 2.503 1.445 12.115
Tb 2.503 -1.445 4.038
Mg 2.503 1.445 8.596
Mg 2.503 -1.445 0.519
Mg 2.503 -1.445 7.558
Mg 2.503 1.445 15.635
Cu 0.000 0.000 0.000
Cu 0.000 0.000 8.077
Cu 0.000 0.000 4.038
Cu 0.000 0.000 12.115
Cu 2.503 1.445 4.038
Cu 2.503 -1.445 12.115
Cu 1.261 0.728 1.990
Cu 2.503 -2.880 10.067
Cu 1.261 -0.728 10.067
Cu 3.745 0.728 1.990
Cu 2.503 2.880 1.990
Cu 3.745 -0.728 14.164
Cu 2.503 -2.880 14.164
Cu 3.745 -0.728 10.067
Cu 1.261 -0.728 14.164
Cu 3.745 0.728 6.087
Cu 1.261 0.728 6.087
Cu 2.503 2.880 6.087
```

---

(10)
The following is a PBE-GGA calculation of a relaxed GdMgPt crystal, from Materials Project.

extended XYZ file:
```
9
Lattice="-4.195 5.878 1.757 0.048 -5.982 4.410 3.150 1.607 2.145" Properties=species:S:1:pos:R:3 pbc="T T T"
Gd -2.449 -0.061 3.642
Gd -1.718 2.407 0.719
Gd 0.020 -2.449 1.806
Mg 1.611 -3.716 4.405
Mg 0.561 0.778 2.581
Mg -1.595 5.244 2.400
Pt 0.000 0.000 0.000
Pt 0.208 -1.225 4.598
Pt -1.206 2.728 3.714
```

---

(11)
The following is a PBE-GGA calculation of a relaxed TbPRu2C crystal, from Materials Project.

extended XYZ file:
```
10
Lattice="-2.354 4.085 -3.434 1.840 -5.535 -0.045 -6.476 -2.168 1.861" Properties=species:S:1:pos:R:3 pbc="T T T"
Tb -3.785 3.112 -2.817
Tb -3.206 -6.729 1.199
P -0.747 -3.857 -0.361
P -6.244 0.240 -1.256
Ru -5.692 -4.371 0.584
Ru -1.299 0.753 -2.201
Ru -3.147 -3.519 -0.147
Ru -3.844 -0.098 -1.470
C -3.495 -1.809 -0.809
C -0.257 -0.725 -1.739
```

Calculated values
- M_tot: 0.000 μB/cell

---

(12)
The following is a PBE-GGA calculation of a relaxed In5CuS8 crystal, from Materials Project.

extended XYZ file:
```
14
Lattice="0.000 5.327 5.327 5.327 0.000 5.327 5.327 5.327 0.000" Properties=species:S:1:pos:R:3 pbc="T T T"
In 4.064 6.590 4.064
In 4.064 4.064 6.590
In 0.000 0.000 0.000
In 6.590 4.064 4.064
In 6.590 6.590 6.590
Cu 2.664 2.664 2.664
S 6.758 9.224 6.758
S 6.647 4.008 6.647
S 6.647 6.647 4.008
S 6.758 6.758 9.224
S 4.008 6.647 6.647
S 9.224 6.758 6.758
S 4.008 4.008 4.008
S 9.224 9.224 9.224
```

Calculated values
- Energy with MP2020 corrections: -62.1 eV per cell
- M_tot: 0.000 μB/cell

---

(13)
The following is a PBE-GGA calculation of a relaxed TbCu2S2 crystal, from Materials Project.

extended XYZ file:
```
5
Lattice="2.433 1.177 -2.886 -3.883 0.687 -0.286 0.775 5.601 2.937" Properties=species:S:1:pos:R:3 pbc="T T T"
Tb 0.000 0.000 0.000
Cu 0.848 4.775 -0.047
Cu -1.523 2.690 -0.187
S 0.537 2.529 -1.224
S -1.213 4.936 0.991
```

Calculated values
- Energy with MP2020 corrections: -26.2 eV per cell
- M_tot: 0.001 μB/cell

---

(14)
The following is a PBE-GGA calculation of a relaxed Cs2TiSi6O15 crystal, from Materials Project.

extended XYZ file:
```
48
Lattice="3.819 6.595 0.000 -3.819 6.595 0.000 0.000 4.202 14.877" Properties=species:S:1:pos:R:3 pbc="T T T"
Cs 1.048 10.757 4.561
Cs -1.048 12.858 11.999
Cs -0.987 7.315 14.598
Cs 0.987 5.214 7.159
Ti 1.839 9.879 13.398
Ti -1.839 7.778 5.959
Si 0.523 9.130 8.028
Si -0.523 7.029 0.589
Si -1.247 5.510 11.019
Si 1.247 3.409 3.580
Si 0.907 12.187 8.232
Si -0.907 10.086 0.793
Si -0.416 8.608 11.064
Si 0.416 6.507 3.625
Si 0.238 12.787 0.931
Si -0.238 14.888 8.370
Si -3.314 9.740 11.151
Si 3.314 7.639 3.713
O 1.957 8.193 14.480
O -1.957 6.092 7.041
O 0.781 8.884 12.091
O -0.781 6.783 4.652
O -0.279 15.915 12.488
O 0.279 13.814 5.049
O 0.203 10.415 14.294
O -0.203 8.314 6.855
O 2.147 8.916 7.893
O -2.147 6.815 0.454
O 1.797 11.490 12.287
O -1.797 9.389 4.848
O 0.198 4.737 10.755
O -0.198 2.636 3.317
O 0.207 10.744 7.853
O -0.207 8.643 0.415
O 1.693 11.990 9.651
O -1.693 9.889 2.212
O 2.892 10.820 14.789
O -2.892 8.719 7.350
O 1.674 7.551 3.852
O -1.674 9.652 11.291
O -0.062 6.545 2.071
O 0.062 8.646 9.510
O -0.047 13.280 2.466
O 0.047 15.381 9.905
O -0.361 13.231 8.481
O 0.361 11.130 1.042
O 0.967 4.983 3.910
O -0.967 7.084 11.348
```

Calculated values
- Energy with MP2020 corrections: -386.4 eV per cell
- Polymorph energy (0 for the lowest one): 0.00 eV per formula unit
- M_tot: 0.000 μB/cell

---

(15)
The following is a PBE-GGA calculation of a relaxed In3Sn crystal, from Materials Project.

extended XYZ file:
```
4
Lattice="1.875 2.679 0.000 -1.875 2.679 0.000 0.000 2.677 10.866" Properties=species:S:1:pos:R:3 pbc="T T T"
In 0.000 4.691 8.131
In 0.000 1.338 5.433
In 0.000 3.344 2.735
Sn 0.000 0.000 0.000
```

Calculated values
- M_tot: 0.023 μB/cell

---

(16)
The following is a PBE-GGA calculation of a relaxed ErS2 crystal, from Materials Project.

extended XYZ file:
```
6
Lattice="-1.808 -0.553 -3.334 -2.874 -1.737 1.847 -3.653 6.929 0.832" Properties=species:S:1:pos:R:3 pbc="T T T"
Er -4.091 4.165 1.528
Er -1.903 1.619 -1.440
S -2.787 1.692 1.231
S -3.207 4.092 -1.143
S 0.000 0.000 0.000
S -2.341 -1.145 -0.744
```

Calculated values
- Energy with MP2020 corrections: -37.5 eV per cell

---

Looking at E_form for the records above, in order, we have -3.836, -1.445, -2.601, -0.392, 1.450, -3.898, -2.084, -2.844, -0.176, -0.942, -0.679, -0.795, -1.013, -3.197, 0.039, -1.977 eV per atom.